Ti2AlO4: relaxed, PBE.

abc: 5.8140 5.8140 5.8140
angles: 121.69 116.93 91.25
Fractional coordinates of all 14 atoms:
O1 0.7160 0.2473 0.4687
O2 0.2656 0.7521 0.9865
O3 0.2786 0.2473 0.0313
Ti1 0.0000 0.0000 0.5000
Ti2 0.0000 0.5000 0.5000
Al1 0.5000 0.5000 0.5000
Ti3 0.5000 0.5000 0.0000
O4 0.2656 0.2792 0.5135
O5 0.7214 0.7527 0.9687
Ti4 0.0000 0.5000 0.0000
O6 0.7344 0.2479 0.0135
Al2 0.5000 0.0000 0.0000
O7 0.2840 0.7527 0.5313
O8 0.7344 0.7208 0.4865

Calculated values
Polymorph energy (0 for the lowest one) = 159 meV per atom
Symmetry = Imma, No. 74

=====

Ti2AlO4: relaxed, PBE.

abc: 5.9152 5.9152 5.9152
angles: 60.00 60.00 60.00
Fractional coordinates of all 14 atoms:
O1 0.3729 0.3729 0.3729
O2 0.8771 0.3687 0.8771
Al1 0.2500 0.2500 0.2500
Al2 0.0000 0.0000 0.0000
O3 0.3687 0.8771 0.8771
Ti1 0.6250 0.6250 0.6250
O4 0.3729 0.3729 0.8813
O5 0.3729 0.8813 0.3729
O6 0.8813 0.3729 0.3729
O7 0.8771 0.8771 0.8771
Ti2 0.6250 0.6250 0.1250
O8 0.8771 0.8771 0.3687
Ti3 0.1250 0.6250 0.6250
Ti4 0.6250 0.1250 0.6250

Calculated values
Polymorph energy (0 for the lowest one) = 0 meV per atom
Symmetry = Fd-3m, No. 227

=====

Calculated values (eV/atom) of energy of formation from the pure elements for the records, taken in order: -3.012; -3.171.